Entry i
Density functional theory data (PBE) for crystalline USeS at its relaxed geometry.

Calculated values
mass density	8.44	g/cm³
symmetry	Pnma, No. 62

abc: 3.7582 7.1604 10.2039
angles: 90.00 90.00 90.00
Last column: nearest neighbours and their distance in Å.
Sites, in units of the cell vectors:
U1 0.7500 0.1740 0.6687  4 S 2.71-2.81, 3 Se 2.87-2.95
U2 0.2500 0.3260 0.1687  4 S 2.71-2.81, 3 Se 2.87-2.95
U3 0.2500 0.8260 0.3313  4 S 2.71-2.81, 3 Se 2.87-2.95
U4 0.7500 0.6740 0.8313  4 S 2.71-2.81, 3 Se 2.87-2.95
Se1 0.7500 0.8020 0.5438  4 U 2.87-3.07, 1 S 3.22
Se2 0.7500 0.3020 0.9562  4 U 2.87-3.07, 1 S 3.22
Se3 0.2500 0.6980 0.0438  4 U 2.87-3.07, 1 S 3.22
Se4 0.2500 0.1980 0.4562  4 U 2.87-3.07, 1 S 3.22
S1 0.2500 0.4593 0.7127  4 U 2.71-2.81
S2 0.7500 0.0407 0.2127  4 U 2.71-2.81
S3 0.7500 0.5407 0.2873  4 U 2.71-2.81
S4 0.2500 0.9593 0.7873  4 U 2.71-2.81

Entry ii
Density functional theory data (PBE) for crystalline USeS at its relaxed geometry.

Calculated values
mass density	8.96	g/cm³
symmetry	Pnma, No. 62

abc: 4.0795 7.3169 8.6677
angles: 90.00 90.00 90.00
Last column: nearest neighbours and their distance in Å.
Sites, in units of the cell vectors:
U1 0.2500 0.7266 0.6269  4 S 2.73-2.79, 2 Se 3.03
U2 0.7500 0.7734 0.1269  4 S 2.73-2.79, 2 Se 3.03
U3 0.7500 0.2734 0.3731  4 S 2.73-2.79, 2 Se 3.03
U4 0.2500 0.2266 0.8731  4 S 2.73-2.79, 2 Se 3.03
Se1 0.7500 0.5296 0.8359  5 U 3.03-3.09, 4 S 3.24-3.33
Se2 0.2500 0.4704 0.1641  5 U 3.03-3.09, 4 S 3.24-3.33
Se3 0.2500 0.9704 0.3359  5 U 3.03-3.09, 4 S 3.24-3.33
Se4 0.7500 0.0296 0.6641  5 U 3.03-3.09, 4 S 3.24-3.33
S1 0.7500 0.6454 0.4296  4 U 2.73-2.79
S2 0.2500 0.3546 0.5704  4 U 2.73-2.79
S3 0.7500 0.1454 0.0704  4 U 2.73-2.79
S4 0.2500 0.8546 0.9296  4 U 2.73-2.79

Ranking the structures above by energy, entry ii is first and the second is 34 meV/atom behind.